[1]
Entry from the Materials Project database: a relaxed structure of NaFeH8N2F6 (PBE with a Hubbard U).

The structure in POSCAR format:
```
NaFeH8N2F6
1.0
0.0000 4.3014 4.3014
4.3014 0.0000 4.3014
4.3014 4.3014 0.0000
Na Fe H N F
1 1 8 2 6
Cartesian
0.0000 0.0000 0.0000
4.3014 4.3014 4.3014
2.7454 1.5560 1.5560
1.5560 2.7454 1.5560
1.5560 1.5560 2.7454
2.7454 2.7454 2.7454
5.8573 5.8573 5.8573
7.0468 7.0468 5.8573
7.0468 5.8573 7.0468
5.8573 7.0468 7.0468
2.1507 2.1507 2.1507
6.4520 6.4520 6.4520
4.3014 4.3014 2.4028
4.3014 2.4028 4.3014
6.1999 4.3014 4.3014
2.4028 4.3014 4.3014
4.3014 6.1999 4.3014
4.3014 4.3014 6.1999
```

Values from the calculation:
Volume, Å³ per atom: 8.84
Energy relative to the elements, meV/atom: -1575
Space group: No. 225
Calculated total energy, eV per atom: -4.91

=====

[2]
Entry from the Materials Project database: a relaxed structure of FeH10N2OF5 (PBE with a Hubbard U).

The structure in POSCAR format:
```
FeH10N2OF5
1.0
10.7495 0.0000 0.0000
0.0000 8.2315 0.0000
0.0000 0.0000 7.8655
Fe H N O F
4 40 8 4 20
Cartesian
0.0000 1.6466 1.9664
0.0000 6.5849 5.8991
5.3748 2.4692 5.8991
5.3748 5.7624 1.9664
0.2247 0.9536 5.0935
0.2247 7.2779 1.1608
1.2806 4.0689 3.1610
1.2806 4.1627 7.0938
1.9706 3.0554 0.3406
1.9706 5.1761 4.2734
2.5802 0.6464 2.8792
2.5802 7.5851 6.8120
2.6159 3.6214 4.1320
2.6159 4.6101 0.1992
2.7588 0.4944 0.1992
2.7588 7.7372 4.1320
2.7945 3.4694 6.8120
2.7945 4.7622 2.8792
3.4042 1.0603 4.2734
3.4042 7.1712 0.3406
4.0941 0.0469 7.0938
4.0941 8.1846 3.1610
5.1500 3.1621 1.1608
5.1500 5.0694 5.0935
5.5995 3.1621 2.7720
5.5995 5.0694 6.7047
6.6554 0.0469 4.7044
6.6554 8.1846 0.7717
7.3453 1.0603 7.5248
7.3453 7.1712 3.5921
7.9550 3.4694 4.9862
7.9550 4.7622 1.0535
7.9907 0.4944 3.7335
7.9907 7.7372 7.6662
8.1336 3.6214 7.6662
8.1336 4.6101 3.7335
8.1693 0.6464 1.0535
8.1693 7.5851 4.9862
8.7790 3.0554 3.5921
8.7790 5.1761 7.5248
9.4689 4.0689 0.7717
9.4689 4.1627 4.7044
10.5248 0.9536 6.7047
10.5248 7.2779 2.7720
2.1600 3.8354 7.5425
2.1600 4.3961 3.6097
3.2148 0.2803 3.6097
3.2148 7.9512 7.5425
7.5347 0.2803 0.3230
7.5347 7.9512 4.2558
8.5895 3.8354 4.2558
8.5895 4.3961 0.3230
0.0000 0.3939 5.8991
0.0000 7.8377 1.9664
5.3748 3.7219 1.9664
5.3748 4.5096 5.8991
0.0000 3.6043 1.9664
0.0000 4.6272 5.8991
0.6118 1.6896 3.8066
0.6118 6.5419 7.7393
1.9043 1.6056 1.3553
1.9043 6.6259 5.2880
3.4705 2.5102 5.2880
3.4705 5.7214 1.3553
4.7630 2.4261 7.7393
4.7630 5.8054 3.8066
5.3748 0.5114 5.8991
5.3748 7.7201 1.9664
5.9866 2.4261 4.0589
5.9866 5.8054 0.1262
7.2790 2.5102 6.5102
7.2790 5.7214 2.5775
8.8453 1.6056 2.5775
8.8453 6.6259 6.5102
10.1377 1.6896 0.1262
10.1377 6.5419 4.0589
```

Values from the calculation:
Volume, Å³ per atom: 9.16
Energy relative to the elements, meV/atom: -1406
Space group: No. 60
Calculated total energy, eV per atom: -5.00

=====

[3]
Entry from the Materials Project database: a relaxed structure of NaFeH4SO6F (PBE with a Hubbard U).

The structure in POSCAR format:
```
NaFeH4SO6F
1.0
7.4337 0.0000 0.0000
-0.0022 7.5088 0.0000
-2.5844 -0.0077 10.5936
Na Fe H S O F
4 4 16 4 24 4
Cartesian
-0.1346 1.8740 3.0282
2.5632 5.6312 2.2541
2.2839 1.8699 8.3395
4.9817 5.6272 7.5654
0.0000 0.0000 0.0000
-0.0011 3.7544 0.0000
2.4246 -0.0038 5.2968
2.4235 3.7506 5.2968
-0.1598 4.2624 4.6306
-0.1594 6.9937 4.6310
-0.2031 0.6800 5.6735
-0.2052 3.0675 5.6730
0.0474 4.4535 10.2340
0.0473 6.7953 10.2322
2.5788 0.5169 0.6595
2.5793 3.2363 0.6580
2.2678 4.2649 9.9356
2.2682 6.9842 9.9341
4.7997 0.7058 0.3614
4.7997 3.0477 0.3596
5.0523 4.4337 4.9206
5.0502 6.8212 4.9201
5.0064 0.5075 5.9626
5.0069 3.2388 5.9630
-1.3820 1.8718 8.1652
1.2155 5.6273 7.7399
3.6315 1.8739 2.8537
6.2290 5.6294 2.4284
-0.4383 4.4121 1.9974
-0.4405 6.8476 1.9973
-1.3683 1.8715 6.6419
0.2879 0.3319 4.8916
0.2846 3.4148 4.8903
-0.1392 5.6261 7.1813
-0.0182 1.8732 8.6896
2.1317 4.0825 0.4035
2.1288 7.1806 0.4006
1.1619 5.6274 9.2649
2.8563 3.0903 3.2641
2.8588 0.6554 3.2648
1.9883 6.8458 7.3288
1.9908 4.4108 7.3295
3.6851 1.8738 1.3287
2.7182 0.3205 10.1930
2.7154 3.4186 10.1901
4.8653 5.6280 1.9040
4.9863 1.8751 3.4123
4.5625 4.0863 5.7033
4.5592 7.1693 5.7020
6.2153 5.6297 3.9517
5.2876 0.6536 8.5963
5.2854 3.0890 8.5961
0.2307 1.8764 0.8356
2.3119 5.6261 4.5131
2.5352 1.8751 6.0805
4.6164 5.6247 9.7579
```

Values from the calculation:
Volume, Å³ per atom: 10.56
Energy relative to the elements, meV/atom: -1777
Space group: No. 2
Calculated total energy, eV per atom: -5.51

=====

[4]
Entry from the Materials Project database: a relaxed structure of NaFeH4SO6F (PBE with a Hubbard U).

The structure in POSCAR format:
```
NaFeH4SO6F
1.0
5.8451 0.0000 0.0000
-2.8118 6.7415 0.0000
-0.0123 -0.0176 7.4762
Na Fe H S O F
2 2 8 2 12 2
Cartesian
0.2014 1.3821 1.8709
2.8196 5.3418 5.6053
2.9226 0.0000 0.0000
2.9164 -0.0088 3.7381
-1.5678 4.6664 0.5156
-1.5626 4.6564 3.2282
-0.6399 4.1775 6.7965
-0.6292 4.1845 4.4283
3.6502 2.5394 3.0478
3.6609 2.5464 0.6796
4.5836 2.0675 4.2480
4.5888 2.0575 6.9605
1.1474 2.0720 5.5999
1.8736 4.6519 1.8763
-0.2301 2.7345 5.6045
-1.1500 4.9473 7.1475
-1.1368 4.9550 4.0746
1.2095 1.2048 4.3790
1.2113 1.1942 6.8122
0.8218 3.6341 1.8723
2.1993 3.0898 5.6038
1.8097 5.5297 0.6639
1.8115 5.5191 3.0971
4.1578 1.7689 3.4016
4.1710 1.7766 0.3287
3.2511 3.9894 1.8716
2.1551 0.2029 1.8684
0.8659 6.5210 5.6077
```

Values from the calculation:
Volume, Å³ per atom: 10.52
Energy relative to the elements, meV/atom: -1779
Space group: No. 2
Calculated total energy, eV per atom: -5.51

=====

[5]
Entry from the Materials Project database: a relaxed structure of Fe2H4O2F5 (PBE with a Hubbard U).

The structure in POSCAR format:
```
Fe2H4O2F5
1.0
-3.8065 5.5854 3.2894
3.8065 -5.5854 3.2894
3.8065 5.5854 -3.2894
Fe H O F
4 8 4 10
Cartesian
0.0000 0.0000 0.0000
-1.9033 2.7927 1.6447
0.0000 5.5854 0.0000
1.9033 2.7927 1.6447
3.0171 -0.9893 0.7947
4.5959 -0.9893 0.7947
3.0171 4.5960 -0.7947
0.7894 -0.9893 2.4947
3.0171 6.5747 0.7947
0.7894 0.9893 4.0841
-0.7894 6.5747 2.4947
0.7894 6.5747 2.4947
3.8065 -0.7173 1.3199
3.8065 4.8681 -1.3199
0.0000 0.7172 4.6093
0.0000 6.3026 1.9695
1.5885 1.3995 0.3134
6.0246 1.3995 0.3134
3.8065 2.7927 1.0877
1.5885 4.1859 0.3134
2.2181 -1.3995 3.6028
1.5885 6.9848 -0.3134
2.2181 1.3995 2.9760
0.0000 2.7927 2.2017
-2.2181 4.1859 2.9760
2.2181 4.1859 2.9760
```

Values from the calculation:
Volume, Å³ per atom: 10.76
Energy relative to the elements, meV/atom: -1996
Space group: No. 74
Calculated total energy, eV per atom: -5.21

=====

[6]
Entry from the Materials Project database: a relaxed structure of Fe3H4O2F8 (PBE with a Hubbard U).

The structure in POSCAR format:
```
Fe3H4O2F8
1.0
3.8698 -3.8104 0.0000
3.8698 3.8104 0.0000
-3.5282 0.0000 6.6328
Fe H O F
3 4 2 8
Cartesian
0.0000 0.0000 0.0000
0.1708 1.9052 3.3164
0.1708 -1.9052 3.3164
-0.9410 0.7943 6.0727
-0.9410 -0.7943 6.0727
5.1524 0.7943 0.5600
5.1524 -0.7943 0.5600
-1.4240 0.0000 6.4052
5.6354 0.0000 0.2276
0.0754 2.2337 5.2383
2.1057 2.2427 3.3164
0.4761 0.0000 3.7224
4.1361 2.2337 1.3945
0.0754 -2.2337 5.2383
3.7354 0.0000 2.9104
2.1057 -2.2427 3.3164
4.1361 -2.2337 1.3945
```

Values from the calculation:
Volume, Å³ per atom: 11.51
Energy relative to the elements, meV/atom: -2144
Space group: No. 12
Calculated total energy, eV per atom: -5.22

=====

[7]
Entry from the Materials Project database: a relaxed structure of FeSnH12O6F6 (PBE with a Hubbard U).

The structure in POSCAR format:
```
FeSnH12O6F6
1.0
6.7040 0.0000 0.0000
-1.5467 8.7862 0.0000
-0.0226 -0.0041 20.0320
Fe Sn H O F
4 4 48 24 24
Cartesian
0.0000 0.0000 0.0000
-0.0113 -0.0021 10.0160
5.9247 4.3927 5.0079
-0.7899 4.3894 15.0241
3.3453 -0.0007 5.0063
1.7895 8.7828 15.0258
2.5787 4.3931 0.0000
2.5674 4.3911 10.0160
-0.2337 2.6557 9.1659
-1.0011 7.0514 4.1550
-1.0117 7.0485 14.1729
-0.2345 2.6490 19.1542
1.0828 0.4796 12.5607
0.3155 4.8733 7.5529
0.3050 4.8731 17.5652
1.1066 0.4793 2.5300
0.1496 6.6537 0.6491
0.9298 2.2623 5.6728
0.9189 2.2592 15.6861
0.1523 6.6545 10.6801
1.1232 1.8631 1.7449
1.1225 1.8604 11.7744
0.3537 6.2544 6.7658
0.3413 6.2538 16.7777
1.3081 4.2913 3.1278
0.5287 8.6847 8.1358
1.2988 4.2892 13.1436
0.5359 8.6779 18.1587
1.6229 5.5103 4.0984
1.6116 5.5080 14.1148
2.3911 1.1151 9.1089
2.3901 1.1175 19.1198
2.7446 7.6647 0.9123
2.7437 7.6670 10.9231
3.5232 3.2741 5.9172
3.5119 3.2719 15.9336
4.5989 0.1042 1.8733
3.8359 4.4930 6.8884
4.6061 0.0974 11.8963
3.8267 4.4909 16.9042
4.7935 2.5284 3.2544
4.7811 2.5278 13.2662
4.0122 6.9217 8.2576
4.0116 6.9190 18.2871
4.9825 2.1276 9.3520
4.2158 6.5229 4.3459
4.2050 6.5198 14.3593
4.9852 2.1284 19.3829
4.0282 8.3028 17.5020
4.8298 3.9090 2.4669
4.8192 3.9088 12.4792
4.0519 8.3025 7.4713
5.3692 6.1331 0.8778
6.1464 1.7336 5.8591
6.1359 1.7307 15.8771
5.3684 6.1265 10.8662
-0.7845 6.9380 0.7583
-0.0078 2.5420 5.7630
-0.0184 2.5390 15.7778
-0.7852 6.9346 10.7696
0.7336 0.9608 1.7586
-0.0543 5.3546 16.7874
0.7262 0.9614 11.7823
-0.0413 5.3546 6.7743
1.8521 0.3004 9.0041
1.0851 4.6946 3.9954
1.0731 4.6929 14.0103
1.8582 0.2970 19.0247
3.2766 8.4852 1.0073
4.0617 4.0892 6.0217
4.0497 4.0875 16.0367
3.2826 8.4817 11.0279
5.1760 3.4275 13.2577
4.4086 7.8207 8.2498
5.1891 3.4275 3.2446
4.4012 7.8213 18.2734
5.9200 1.8475 9.2625
5.1532 6.2431 4.2543
5.1425 6.2401 14.2691
5.9192 1.8441 19.2738
0.8516 4.0494 9.0274
0.0744 8.4429 14.0338
0.0861 8.4474 4.0102
0.8451 4.0489 19.0321
1.8119 3.4882 1.6216
1.0332 7.8867 6.6322
1.8068 3.4916 11.6435
1.0247 7.8807 16.6487
1.8550 6.1548 0.6401
2.6306 1.7666 5.6474
2.6214 1.7638 15.6619
1.8531 6.1586 10.6542
3.2817 2.6235 9.3778
2.5133 7.0184 4.3701
2.5042 7.0155 14.3846
3.2798 2.6273 19.3919
4.1101 0.9014 3.3833
3.3280 5.2905 8.3885
4.1015 0.8954 13.3999
3.3229 5.2940 18.4104
4.2896 4.7332 0.9999
5.0487 0.3348 16.0218
5.0604 0.3392 5.9982
4.2832 4.7328 11.0046
```

Values from the calculation:
Volume, Å³ per atom: 11.35
Energy relative to the elements, meV/atom: -1743
Space group: No. 2
Calculated total energy, eV per atom: -5.02

=====

[8]
Entry from the Materials Project database: a relaxed structure of ZnFeH4O2F5 (PBE with a Hubbard U).

The structure in POSCAR format:
```
ZnFeH4O2F5
1.0
-3.8057 5.5062 3.2575
3.8057 -5.5062 3.2575
3.8057 5.5062 -3.2575
Zn Fe H O F
2 2 8 4 10
Cartesian
0.0000 2.7290 0.0000
0.0000 8.2835 0.0000
1.8987 5.5062 -1.6183
1.9070 0.0000 1.6392
3.0119 1.7666 -0.8454
4.5995 1.7666 -0.8454
3.0113 3.6714 0.7972
4.6001 3.6714 0.7972
-0.7938 3.7397 2.4121
0.7938 3.7397 2.4121
-0.7944 1.8348 4.0547
0.7944 1.8348 4.0547
3.8057 3.4658 1.3399
0.0000 3.3954 1.9410
0.0000 2.0404 4.5974
0.0000 7.6171 1.9410
3.8057 0.0000 1.0824
1.5942 1.3828 0.2907
6.0171 1.3828 0.2907
1.5802 4.1076 -0.2889
2.2254 -1.3987 2.9686
0.0000 0.0000 2.1569
1.5802 6.9049 -0.2889
2.2254 1.3987 2.9686
-2.2114 4.1235 3.5482
2.2114 4.1235 3.5482
```

Values from the calculation:
Volume, Å³ per atom: 10.50
Energy relative to the elements, meV/atom: -2003
Maximum piezoelectric response, C/m²: 0.04
Space group: No. 44
Calculated total energy, eV per atom: -4.84

=====

[9]
Entry from the Materials Project database: a relaxed structure of HfFeF6 (PBE with a Hubbard U).

The structure in POSCAR format:
```
HfFeF6
1.0
0.0000 4.0898 4.0898
4.0898 0.0000 4.0898
4.0898 4.0898 0.0000
Hf Fe F
1 1 6
Cartesian
0.0000 0.0000 0.0000
4.0898 4.0898 4.0898
4.0898 4.0898 2.0114
4.0898 2.0114 4.0898
6.1682 4.0898 4.0898
2.0114 4.0898 4.0898
4.0898 6.1682 4.0898
4.0898 4.0898 6.1682
```

Values from the calculation:
Volume, Å³ per atom: 17.10
Energy relative to the elements, meV/atom: -3415
Space group: No. 225
Calculated total energy, eV per atom: -6.53

=====

[10]
Entry from the Materials Project database: a relaxed structure of K2FeHgF6 (PBE with a Hubbard U).

The structure in POSCAR format:
```
K2FeHgF6
1.0
0.0000 4.4812 4.4812
4.4812 0.0000 4.4812
4.4812 4.4812 0.0000
K Fe Hg F
2 1 1 6
Cartesian
2.2406 2.2406 2.2406
6.7219 6.7219 6.7219
0.0000 0.0000 0.0000
4.4812 4.4812 4.4812
4.4812 4.4812 1.9612
4.4812 1.9612 4.4812
7.0013 4.4812 4.4812
1.9612 4.4812 4.4812
4.4812 7.0013 4.4812
4.4812 4.4812 7.0013
```

Values from the calculation:
Volume, Å³ per atom: 18.00
Energy relative to the elements, meV/atom: -2483
Space group: No. 225
Calculated total energy, eV per atom: -4.23